No. 1
! Li6MnCo3P6O24 (PBE+U, optimized geometry); values from VASP
! SG: P1, No. 1
! MP2020-corrected energy: -0.5254 Ry/atom
! V: 11.464 Å³/atom
! calculated formation energy: -8948 kJ/mol of formula units
&SYSTEM
  ibrav = 0, nat = 40, ntyp = 5
/
ATOMIC_SPECIES
O 16.00 O.upf
P 30.97 P.upf
Co 58.93 Co.upf
Li 6.94 Li.upf
Mn 54.94 Mn.upf
ATOMIC_POSITIONS angstrom
O -7.422 -3.948 -2.609
P -9.639 -7.610 -1.966
O -5.391 -2.030 -3.278
O -5.487 -8.381 -3.321
O -9.877 -7.173 -7.235
O -11.510 -6.885 -4.884
O -6.413 -9.367 -5.707
Co -9.724 -7.165 -5.301
O -8.336 -7.662 -1.115
P -5.474 -3.524 -6.243
O -4.425 -4.545 -6.821
Li -7.731 -5.561 -4.170
O -9.656 -3.530 -7.331
O -9.628 -9.188 -4.942
Co -5.307 -3.916 -2.868
O -7.769 -7.315 -5.506
O -9.670 -2.759 -4.889
O -9.577 -4.125 -1.375
O -8.810 -1.870 -2.446
O -3.546 -4.429 -3.427
Mn -2.219 -1.644 -1.164
Li -12.740 -6.625 -1.328
Co -12.920 -9.568 -7.038
P -10.047 -3.905 -5.878
O -9.330 -5.155 -5.343
O -5.936 -4.115 -4.868
Li -6.697 -5.723 -1.081
Li -7.513 -2.435 -4.084
Li -7.612 -8.832 -4.021
P -5.000 -7.272 -2.370
P -6.770 -8.048 -6.458
O -5.299 -4.017 -0.933
O -5.601 -7.089 -6.645
O -11.686 -10.379 -5.865
O -5.673 -5.965 -2.919
P -8.408 -3.185 -1.653
O -10.720 -6.696 -1.373
O -5.456 -7.445 -0.895
Li -4.619 -5.777 -5.050
O -9.110 -7.113 -3.334
CELL_PARAMETERS angstrom
-8.048 0.308 -2.529
-2.133 -4.507 -6.850
-4.933 -6.982 1.209

***

No. 2
! MgFe4CuO8 (PBE+U, optimized geometry); values from VASP
! SG: C2/m, No. 12
! MP2020-corrected energy: -0.5424 Ry/atom
! V: 11.007 Å³/atom
! calculated formation energy: -2330 kJ/mol of formula units
&SYSTEM
  ibrav = 0, nat = 14, ntyp = 4
/
ATOMIC_SPECIES
Fe 55.84 Fe.upf
O 16.00 O.upf
Cu 63.55 Cu.upf
Mg 24.30 Mg.upf
ATOMIC_POSITIONS angstrom
Fe 2.090 -2.090 0.005
O -2.037 -6.306 -2.051
O -2.232 -2.136 -2.295
O -2.083 -4.273 -0.058
O -4.328 -6.265 -4.179
Cu -4.225 -2.131 -2.177
O -4.219 -4.124 -2.295
O -0.050 -4.318 -2.051
Fe -1.087 -1.032 -1.199
O -2.186 -4.170 -4.288
O 0.058 -2.177 -0.166
Mg -2.135 -4.221 -2.173
Fe -0.028 -4.209 0.005
Fe -3.182 -7.411 -3.146
CELL_PARAMETERS angstrom
-4.212 -0.025 -4.354
4.180 -4.180 0.009
-4.237 -4.237 0.000

***

No. 3
! NaMo3NO10 (PBE+U, optimized geometry); values from VASP
! SG: Pnma, No. 62
! MP2020-corrected energy: -0.5486 Ry/atom
! V: 16.862 Å³/atom
! calculated formation energy: -1958 kJ/mol of formula units
&SYSTEM
  ibrav = 0, nat = 60, ntyp = 4
/
ATOMIC_SPECIES
O 16.00 O.upf
Mo 95.94 Mo.upf
N 14.01 N.upf
Na 22.99 Na.upf
ATOMIC_POSITIONS angstrom
O -1.410 -4.906 4.474
O 4.329 -2.082 8.649
O -0.123 -2.523 5.743
O -2.346 -7.152 6.135
Mo 5.177 -5.050 6.513
N 1.905 -2.029 11.795
O 3.611 2.700 7.887
O -4.449 -1.057 6.284
N 3.308 3.669 13.799
Mo -2.440 -5.428 6.073
O -0.080 -2.755 2.938
O 2.638 -2.450 3.603
O 3.062 0.793 9.766
Mo 5.028 -3.410 9.505
Mo 2.341 2.318 9.376
O 6.387 -4.158 8.288
O -4.261 -4.982 6.684
Na -0.802 -2.720 8.278
O -1.898 1.345 9.949
O 0.542 2.088 10.177
O 0.230 3.357 12.670
O 4.569 -0.058 15.299
O 5.631 0.861 7.775
O 8.751 2.169 11.553
O 2.991 3.430 10.530
N 1.181 -6.482 4.438
O 0.953 1.421 7.739
Na 5.291 -0.093 9.959
O 1.498 -6.243 7.707
O 8.938 -1.756 11.953
O 7.344 0.362 12.622
Mo 2.769 -0.281 16.098
O -1.479 -0.202 7.491
O 3.947 -4.901 8.060
O 6.835 4.339 12.102
Mo -0.538 0.597 8.732
Mo 1.721 -2.532 2.139
Mo 5.798 -0.201 13.750
Mo -1.309 -2.612 4.487
O 1.851 -0.363 14.634
O 1.427 -3.606 8.471
O -1.141 -3.674 10.462
N 2.584 -0.784 6.442
O 0.160 -0.731 9.588
O 5.907 2.129 10.828
O 4.612 -0.290 12.494
O -2.855 -3.175 5.615
O 5.899 2.093 13.763
O 3.536 -4.234 10.498
O 4.259 -6.170 5.567
O 6.370 -1.824 13.944
Mo -0.688 2.237 11.724
Mo 2.148 -5.131 8.861
Na -2.902 0.686 5.686
Mo 6.929 2.615 12.164
O -1.417 -4.942 7.409
O 5.969 -2.610 10.746
Na 7.391 -3.499 12.551
O 0.878 -5.513 10.350
O -1.880 -0.989 4.293
CELL_PARAMETERS angstrom
-6.070 -0.161 4.705
2.122 -8.173 2.458
8.438 5.521 11.074

***

No. 4
! NaCoH2C3O7 (PBE+U, optimized geometry); values from VASP
! SG: P2_1/c, No. 14
! MP2020-corrected energy: -0.5232 Ry/atom
! V: 11.625 Å³/atom
! calculated formation energy: -2134 kJ/mol of formula units
&SYSTEM
  ibrav = 0, nat = 56, ntyp = 5
/
ATOMIC_SPECIES
O 16.00 O.upf
C 12.01 C.upf
Co 58.93 Co.upf
H 1.01 H.upf
Na 22.99 Na.upf
ATOMIC_POSITIONS angstrom
O -8.319 3.736 2.013
O -9.941 -1.283 1.095
O -12.681 0.534 2.959
O -14.428 -0.592 -1.084
C -12.664 1.016 -1.380
C -12.957 2.627 1.806
Co -7.987 -1.069 1.727
H -9.371 0.838 3.092
C -8.148 4.768 2.729
O -12.263 1.932 -2.171
O -6.279 1.948 3.558
C -5.596 1.438 4.488
C -10.112 -2.315 0.378
O -14.879 1.302 -2.268
O -5.996 0.521 5.278
O -1.036 0.460 1.761
C -4.133 1.925 4.701
C -1.232 1.580 2.324
Na -5.225 -2.978 3.099
H -2.236 -2.403 2.778
O -13.842 4.396 -1.972
O -3.018 -2.448 2.169
O -9.403 0.787 6.296
O -5.579 1.919 0.149
O -8.856 1.667 -3.189
C -5.303 -0.174 1.301
O -3.831 3.045 4.192
C -14.127 0.528 -1.593
O -3.381 1.151 5.376
O -9.773 2.057 -0.074
O -12.313 3.485 1.118
O -15.242 4.901 0.939
H -10.477 1.350 -0.146
Na -10.308 3.240 -2.156
O -7.396 0.566 0.380
H -3.231 -1.523 1.855
O -8.487 0.396 3.182
C -6.170 0.868 0.536
H -8.888 1.616 0.016
C -17.028 0.874 0.784
O -11.981 0.506 -0.450
O -14.212 2.579 1.922
H -7.783 1.103 3.254
Na -13.035 5.431 0.009
O -5.946 -1.032 1.990
H -16.024 4.857 0.329
O -10.863 1.887 2.727
H -15.028 3.976 1.252
O -4.048 -0.125 1.185
Na -7.952 -0.787 5.263
O -17.224 1.993 1.347
C -12.090 1.585 2.572
Co -10.272 3.523 1.381
O -4.418 -1.942 5.080
Co -13.698 2.797 -3.367
Co -4.562 -0.343 6.474
CELL_PARAMETERS angstrom
-14.225 3.388 -5.972
-2.376 -4.413 3.157
-1.658 3.478 5.923